Here is Ho4Ga12Fe after structural relaxation from Materials Project. Energies are from r²SCAN.

Values from the calculation:
SG: No. 229
DFT formation energy in eV/atom: -0.556

abc: 7.3599 7.3599 7.3599
angles: 109.47 109.47 109.47
Sites, in units of the cell vectors:
Ho 0.0000 0.0000 0.5000
Ho 0.0000 0.5000 0.0000
Ho 0.5000 0.0000 0.0000
Ho 0.5000 0.5000 0.5000
Ga 0.0000 0.2893 0.2893
Ga 0.0000 0.7107 0.7107
Ga 0.2500 0.5000 0.7500
Ga 0.2500 0.7500 0.5000
Ga 0.2893 0.0000 0.2893
Ga 0.2893 0.2893 0.0000
Ga 0.5000 0.2500 0.7500
Ga 0.5000 0.7500 0.2500
Ga 0.7107 0.0000 0.7107
Ga 0.7107 0.7107 0.0000
Ga 0.7500 0.2500 0.5000
Ga 0.7500 0.5000 0.2500
Fe 0.0000 0.0000 0.0000